(1)
SrCaCrBiO6: optimized geometry, PBE+U.

```
SrCaCrBiO6
1.0
-5.369 1.606 -1.339
-2.599 -2.220 -4.638
-4.361 -3.710 0.641
Sr Ca Cr Bi O
1 1 1 1 6
direct
0.750 0.750 0.750 Sr
0.250 0.250 0.250 Ca
0.500 0.500 0.500 Cr
0.000 0.000 0.000 Bi
0.744 0.256 0.256 O
0.256 0.744 0.744 O
0.744 0.256 0.744 O
0.256 0.744 0.256 O
0.744 0.744 0.256 O
0.256 0.256 0.744 O
```

Summary:
- DFT formation energy: -2.289 eV per atom
- E (MP2020): -6.98 eV/atom
- Final energy: -6.369 eV per atom

=====

(2)
Sr3NbCoO7: optimized geometry, PBE+U.

```
Sr3NbCoO7
1.0
-1.994 1.994 10.423
1.994 -1.994 10.423
1.994 1.994 -10.423
Sr Nb Co O
3 1 1 7
direct
0.693 0.693 0.000 Sr
0.321 0.321 0.000 Sr
0.483 0.483 0.000 Sr
0.095 0.095 0.000 Nb
0.900 0.900 0.000 Co
0.905 0.405 0.500 O
0.405 0.905 0.500 O
0.099 0.599 0.500 O
0.599 0.099 0.500 O
0.002 0.002 0.000 O
0.805 0.805 0.000 O
0.194 0.194 0.000 O
```

Summary:
- ΔE to the lowest computed polymorph: 29.6 meV per atom
- DFT formation energy: -2.806 eV per atom
- E (MP2020): -7.55 eV/atom
- Final energy: -7.012 eV per atom

=====

(3)
Li2Fe2P4H3O16: optimized geometry, PBE+U.

```
Li2Fe2P4H3O16
1.0
-4.357 -1.041 -2.189
2.743 -7.332 -2.665
-0.745 -2.723 6.854
Li Fe P H O
2 2 4 3 16
direct
0.346 0.842 0.832 Li
0.644 0.158 0.176 Li
0.497 0.501 0.002 Fe
0.003 0.998 0.500 Fe
0.122 0.343 0.261 P
0.396 0.845 0.234 P
0.603 0.156 0.757 P
0.872 0.658 0.739 P
0.324 0.407 0.555 H
0.676 0.599 0.441 H
0.953 0.018 0.978 H
0.946 0.824 0.677 O
0.129 0.572 0.860 O
0.233 0.844 0.387 O
0.222 0.456 0.434 O
0.355 0.043 0.694 O
0.498 0.328 0.791 O
0.231 0.917 0.050 O
0.353 0.326 0.154 O
0.643 0.674 0.849 O
0.770 0.086 0.952 O
0.503 0.669 0.211 O
0.652 0.951 0.309 O
0.762 0.548 0.565 O
0.778 0.156 0.614 O
0.864 0.425 0.138 O
0.051 0.176 0.325 O
```

Summary:
- ΔE to the lowest computed polymorph: 0.0 meV per atom
- DFT formation energy: -2.226 eV per atom
- E (MP2020): -7.11 eV/atom
- Final energy: -6.532 eV per atom

=====

(4)
SmMgNiO3: optimized geometry, PBE+U.

```
SmMgNiO3
1.0
3.750 0.000 0.000
0.000 6.811 0.000
0.000 0.000 3.750
Sm Mg Ni O
1 1 1 3
direct
0.500 0.500 0.500 Sm
0.500 0.000 0.500 Mg
0.000 0.000 0.000 Ni
0.500 0.000 0.000 O
0.000 0.500 0.000 O
0.000 0.000 0.500 O
```

Summary:
- DFT formation energy: -1.662 eV per atom
- E (MP2020): -6.15 eV/atom
- Final energy: -5.385 eV per atom

=====

(5)
LiMn7O12: optimized geometry, PBE+U.

```
LiMn7O12
1.0
4.469 2.610 0.000
-4.469 2.610 0.000
0.000 2.102 9.759
Li Mn O
1 7 12
direct
0.076 0.924 0.000 Li
0.922 0.078 0.500 Mn
0.746 0.254 0.000 Mn
0.586 0.414 0.500 Mn
0.423 0.577 0.000 Mn
0.482 0.001 0.765 Mn
0.255 0.745 0.500 Mn
0.999 0.518 0.235 Mn
0.819 0.338 0.618 O
0.961 0.758 0.394 O
0.709 0.531 0.101 O
0.662 0.181 0.382 O
0.469 0.291 0.899 O
0.745 0.959 0.889 O
0.242 0.039 0.606 O
0.553 0.722 0.596 O
0.360 0.828 0.117 O
0.278 0.447 0.404 O
0.041 0.255 0.111 O
0.172 0.640 0.883 O
```

Summary:
- ΔE to the lowest computed polymorph: 17.9 meV per atom
- DFT formation energy: -1.934 eV per atom
- E (MP2020): -8.20 eV/atom
- Final energy: -7.209 eV per atom

=====

(6)
La5Re3NiO16: optimized geometry, PBE+U.

```
La5Re3NiO16
1.0
-7.962 -0.008 0.684
-0.011 -8.071 0.025
3.968 -4.011 9.915
La Re Ni O
10 6 2 32
direct
0.750 0.250 0.500 La
0.250 0.750 0.500 La
0.828 0.146 0.196 La
0.328 0.645 0.196 La
0.672 0.355 0.804 La
0.172 0.855 0.804 La
0.833 0.662 0.205 La
0.333 0.162 0.205 La
0.667 0.838 0.795 La
0.167 0.338 0.795 La
0.500 0.500 0.000 Re
0.000 0.000 0.000 Re
0.859 0.697 0.606 Re
0.359 0.197 0.606 Re
0.641 0.803 0.394 Re
0.141 0.303 0.394 Re
0.500 0.000 0.000 Ni
0.000 0.500 0.000 Ni
0.910 0.786 0.435 O
0.410 0.286 0.435 O
0.590 0.714 0.565 O
0.090 0.214 0.565 O
0.116 0.664 0.676 O
0.616 0.164 0.676 O
0.384 0.836 0.324 O
0.884 0.336 0.324 O
0.854 0.597 0.803 O
0.355 0.097 0.803 O
0.645 0.903 0.197 O
0.146 0.403 0.197 O
0.483 0.595 0.816 O
0.983 0.096 0.816 O
0.017 0.904 0.184 O
0.517 0.405 0.184 O
0.851 0.917 0.637 O
0.351 0.417 0.637 O
0.649 0.583 0.363 O
0.149 0.083 0.363 O
0.857 0.447 0.634 O
0.357 0.946 0.634 O
0.643 0.054 0.366 O
0.142 0.553 0.366 O
0.442 0.747 0.000 O
0.943 0.247 0.000 O
0.558 0.253 0.000 O
0.057 0.753 0.000 O
0.253 0.034 0.037 O
0.753 0.533 0.037 O
0.247 0.467 0.963 O
0.747 0.966 0.963 O
```

Summary:
- DFT formation energy: -2.944 eV per atom
- E (MP2020): -8.82 eV/atom
- Final energy: -8.281 eV per atom

=====

(7)
Co5CuO8: optimized geometry, PBE+U.

```
Co5CuO8
1.0
5.540 -1.708 0.717
1.391 7.694 6.658
-3.817 -0.734 4.391
Co Cu O
10 2 16
direct
0.502 0.503 0.997 Co
0.001 0.995 0.005 Co
0.623 0.122 0.253 Co
0.124 0.630 0.245 Co
0.562 0.813 0.625 Co
0.562 0.812 0.125 Co
0.063 0.313 0.125 Co
0.062 0.812 0.625 Co
0.563 0.313 0.625 Co
0.062 0.313 0.625 Co
0.313 0.062 0.626 Cu
0.812 0.563 0.625 Cu
0.691 0.921 0.391 O
0.191 0.429 0.376 O
0.434 0.704 0.859 O
0.934 0.196 0.874 O
0.921 0.700 0.377 O
0.425 0.192 0.382 O
0.212 0.924 0.416 O
0.700 0.437 0.398 O
0.204 0.925 0.873 O
0.700 0.433 0.868 O
0.661 0.923 0.865 O
0.168 0.435 0.869 O
0.957 0.190 0.381 O
0.464 0.702 0.385 O
0.425 0.188 0.852 O
0.913 0.701 0.834 O
```

Summary:
- ΔE to the lowest computed polymorph: 58.2 meV per atom
- DFT formation energy: -1.207 eV per atom
- E (MP2020): -6.87 eV/atom
- Final energy: -5.889 eV per atom

=====

(8)
KMoCl4O: optimized geometry, PBE+U.

```
KMoCl4O
1.0
9.300 0.000 0.000
0.000 6.882 0.000
0.000 1.376 23.861
K Mo Cl O
8 8 32 8
direct
0.485 0.247 0.237 K
0.985 0.753 0.263 K
0.283 0.191 0.466 K
0.015 0.247 0.737 K
0.783 0.809 0.034 K
0.717 0.809 0.534 K
0.515 0.753 0.763 K
0.217 0.191 0.966 K
0.982 0.725 0.864 Mo
0.387 0.774 0.121 Mo
0.887 0.226 0.379 Mo
0.482 0.275 0.636 Mo
0.018 0.275 0.136 Mo
0.113 0.774 0.621 Mo
0.613 0.226 0.879 Mo
0.518 0.725 0.364 Mo
0.570 0.238 0.976 Cl
0.356 0.873 0.597 Cl
0.802 0.349 0.289 Cl
0.589 0.560 0.134 Cl
0.430 0.762 0.024 Cl
0.911 0.560 0.634 Cl
0.929 0.270 0.042 Cl
0.302 0.651 0.211 Cl
0.358 0.156 0.718 Cl
0.571 0.270 0.542 Cl
0.856 0.127 0.903 Cl
0.144 0.873 0.097 Cl
0.644 0.127 0.403 Cl
0.698 0.349 0.789 Cl
0.930 0.238 0.476 Cl
0.411 0.440 0.866 Cl
0.247 0.367 0.095 Cl
0.170 0.953 0.841 Cl
0.747 0.633 0.405 Cl
0.253 0.367 0.595 Cl
0.670 0.047 0.659 Cl
0.198 0.651 0.711 Cl
0.089 0.440 0.366 Cl
0.642 0.844 0.282 Cl
0.071 0.730 0.958 Cl
0.142 0.156 0.218 Cl
0.330 0.953 0.341 Cl
0.830 0.047 0.159 Cl
0.753 0.633 0.905 Cl
0.858 0.844 0.782 Cl
0.429 0.730 0.458 Cl
0.070 0.762 0.524 Cl
0.954 0.491 0.157 O
0.540 0.009 0.863 O
0.960 0.009 0.363 O
0.546 0.491 0.657 O
0.040 0.991 0.637 O
0.460 0.991 0.137 O
0.454 0.509 0.343 O
0.046 0.509 0.843 O
```

Summary:
- DFT formation energy: -1.357 eV per atom
- E (MP2020): -4.83 eV/atom
- Final energy: -4.273 eV per atom

=====

(9)
CoH6C2S2N2O3: optimized geometry, PBE+U.

```
CoH6C2S2N2O3
1.0
-6.584 -2.399 -0.296
-4.493 -1.123 5.267
-3.811 9.906 -0.840
Co H C S N O
2 12 4 4 4 6
direct
0.000 0.500 0.500 Co
0.500 0.000 0.000 Co
0.255 0.005 0.493 H
0.995 0.745 0.007 H
0.745 0.995 0.507 H
0.005 0.255 0.993 H
0.062 0.105 0.606 H
0.895 0.938 0.894 H
0.938 0.895 0.394 H
0.105 0.062 0.106 H
0.215 0.884 0.792 H
0.116 0.785 0.708 H
0.785 0.116 0.208 H
0.884 0.215 0.292 H
0.748 0.592 0.766 C
0.408 0.252 0.734 C
0.252 0.408 0.234 C
0.592 0.748 0.266 C
0.630 0.598 0.902 S
0.402 0.370 0.598 S
0.370 0.402 0.098 S
0.598 0.630 0.402 S
0.830 0.588 0.668 N
0.412 0.170 0.832 N
0.170 0.412 0.332 N
0.588 0.830 0.168 N
0.098 0.151 0.526 O
0.849 0.902 0.974 O
0.902 0.849 0.474 O
0.151 0.098 0.026 O
0.066 0.934 0.750 O
0.934 0.066 0.250 O
```

Summary:
- DFT formation energy: -0.641 eV per atom
- E (MP2020): -6.00 eV/atom
- Final energy: -5.704 eV per atom

=====

(10)
SrCoGe4O12: optimized geometry, PBE+U.

```
SrCoGe4O12
1.0
-4.200 -3.154 0.835
3.262 -4.087 0.970
0.093 1.793 7.240
Sr Co Ge O
1 1 4 12
direct
0.000 0.000 0.000 Sr
0.500 0.500 0.500 Co
0.000 0.500 0.748 Ge
0.000 0.500 0.252 Ge
0.500 0.000 0.748 Ge
0.500 0.000 0.252 Ge
0.258 0.258 0.736 O
0.258 0.258 0.264 O
0.742 0.742 0.264 O
0.742 0.742 0.736 O
0.742 0.258 0.736 O
0.742 0.258 0.264 O
0.258 0.742 0.264 O
0.258 0.742 0.736 O
0.000 0.500 0.500 O
0.000 0.500 0.000 O
0.500 0.000 0.500 O
0.500 0.000 0.000 O
```

Summary:
- DFT formation energy: -1.511 eV per atom
- E (MP2020): -6.33 eV/atom
- Final energy: -5.777 eV per atom

=====

(11)
LiVPO4: optimized geometry, PBE+U.

```
LiVPO4
1.0
0.000 0.000 4.985
9.419 0.000 0.000
0.000 6.320 0.000
Li V P O
4 4 4 16
direct
0.484 0.171 0.750 Li
0.984 0.329 0.250 Li
0.016 0.670 0.750 Li
0.516 0.830 0.250 Li
0.000 0.000 0.500 V
0.500 0.500 0.500 V
0.000 0.000 0.000 V
0.500 0.500 0.000 V
0.485 0.178 0.250 P
0.985 0.322 0.750 P
0.015 0.678 0.250 P
0.514 0.822 0.750 P
0.792 0.137 0.250 O
0.292 0.362 0.750 O
0.707 0.638 0.250 O
0.207 0.862 0.750 O
0.935 0.156 0.750 O
0.436 0.344 0.250 O
0.564 0.656 0.750 O
0.064 0.844 0.250 O
0.355 0.121 0.047 O
0.355 0.121 0.453 O
0.855 0.379 0.953 O
0.855 0.379 0.547 O
0.145 0.621 0.047 O
0.145 0.621 0.453 O
0.645 0.879 0.547 O
0.645 0.879 0.953 O
```

Summary:
- ΔE to the lowest computed polymorph: 20.6 meV per atom
- DFT formation energy: -2.622 eV per atom
- E (MP2020): -7.79 eV/atom
- Final energy: -7.158 eV per atom

=====

(12)
Fe4O3F5: optimized geometry, PBE+U.

```
Fe4O3F5
1.0
4.784 0.000 0.000
-0.267 7.810 0.000
-0.228 -1.921 7.607
Fe O F
8 6 10
direct
0.503 0.881 0.645 Fe
0.472 0.615 0.849 Fe
0.498 0.373 0.120 Fe
0.565 0.136 0.388 Fe
0.985 0.773 0.250 Fe
0.001 0.496 0.493 Fe
0.009 0.249 0.755 Fe
0.968 0.986 0.001 Fe
0.797 0.972 0.235 O
0.683 0.829 0.844 O
0.698 0.359 0.345 O
0.693 0.093 0.604 O
0.288 0.648 0.638 O
0.318 0.406 0.910 O
0.799 0.477 0.713 F
0.805 0.722 0.462 F
0.794 0.230 0.988 F
0.710 0.599 0.099 F
0.305 0.153 0.156 F
0.300 0.902 0.403 F
0.206 0.019 0.783 F
0.191 0.537 0.273 F
0.210 0.767 0.036 F
0.202 0.277 0.510 F
```

Summary:
- ΔE to the lowest computed polymorph: 61.9 meV per atom
- DFT formation energy: -2.134 eV per atom
- E (MP2020): -6.99 eV/atom
- Final energy: -5.875 eV per atom